First-principles (GGA-PBE) data for a geometry-optimized BiB5 structure, as listed in the Materials Project database. Values from VASP.

```
&SYSTEM
  ibrav = 0, nat = 24, ntyp = 2
/
ATOMIC_SPECIES
Bi 208.98 Bi.upf
B 10.81 B.upf
ATOMIC_POSITIONS crystal
Bi 0.6418 0.8772 0.1021
Bi 0.3582 0.1228 0.8979
Bi 0.5703 0.9156 0.3937
Bi 0.4297 0.0844 0.6063
B 0.7518 0.0041 0.3508
B 0.2482 0.9959 0.6492
B 0.7775 0.9639 0.2503
B 0.2225 0.0361 0.7497
B 0.6692 0.7505 0.2236
B 0.3308 0.2495 0.7764
B 0.6199 0.7440 0.3179
B 0.3801 0.2560 0.6821
B 0.8157 0.9165 0.4383
B 0.1843 0.0835 0.5617
B 0.8863 0.9380 0.3528
B 0.1137 0.0620 0.6472
B 0.8188 0.8277 0.2721
B 0.1812 0.1723 0.7279
B 0.7744 0.7171 0.3253
B 0.2256 0.2829 0.6747
B 0.7461 0.7820 0.4205
B 0.2539 0.2180 0.5795
B 0.8892 0.8116 0.3990
B 0.1108 0.1884 0.6010
CELL_PARAMETERS angstrom
10.6797 0.0000 0.0000
-0.7585 11.7048 0.0000
-4.7532 -1.1065 14.1370
```

Values from the calculation:
ΔH_f (0 K) in eV per atom: 1.19
Space group: P-1, No. 2
Final energy in eV for the cell shown: -120.6

First-principles (GGA-PBE) data for a geometry-optimized K2BiAu structure, as listed in the Materials Project database. Values from VASP.

```
&SYSTEM
  ibrav = 0, nat = 8, ntyp = 3
/
ATOMIC_SPECIES
K 39.10 K.upf
Bi 208.98 Bi.upf
Au 196.97 Au.upf
ATOMIC_POSITIONS crystal
K 0.5027 0.8465 0.2500
K 0.1535 0.4973 0.7500
K 0.4973 0.1535 0.7500
K 0.8465 0.5027 0.2500
Bi 0.2736 0.2736 0.2500
Bi 0.7264 0.7264 0.7500
Au 0.0000 0.0000 0.5000
Au 0.0000 0.0000 0.0000
CELL_PARAMETERS angstrom
-1.3529 5.9863 2.7343
1.1341 -4.2796 5.0539
6.6584 1.5772 -0.1586
```

Values from the calculation:
ΔH_f (0 K) in eV per atom: -0.43
Space group: Cmcm, No. 63
Final energy in eV for the cell shown: -22.2

First-principles (GGA-PBE) data for a geometry-optimized Rb3YCl6 structure, as listed in the Materials Project database. Values from VASP.

```
&SYSTEM
  ibrav = 0, nat = 40, ntyp = 3
/
ATOMIC_SPECIES
Rb 85.47 Rb.upf
Y 88.91 Y.upf
Cl 35.45 Cl.upf
ATOMIC_POSITIONS crystal
Rb 0.2057 0.6949 0.9334
Rb 0.3510 0.9753 0.1948
Rb 0.8382 0.4687 0.3535
Rb 0.6949 0.2057 0.4334
Rb 0.5313 0.1618 0.1465
Rb 0.4687 0.8382 0.8535
Rb 0.7943 0.3051 0.0666
Rb 0.3051 0.7943 0.5666
Rb 0.9753 0.3510 0.6948
Rb 0.6490 0.0247 0.8052
Rb 0.0247 0.6490 0.3052
Rb 0.1618 0.5313 0.6465
Y 0.2085 0.7915 0.2500
Y 0.7915 0.2085 0.7500
Y 0.0000 0.5000 0.0000
Y 0.5000 0.0000 0.5000
Cl 0.6151 0.7253 0.5773
Cl 0.3746 0.5052 0.1806
Cl 0.1505 0.2092 0.9658
Cl 0.5052 0.3746 0.6806
Cl 0.1372 0.3643 0.1866
Cl 0.8495 0.7908 0.0342
Cl 0.7908 0.8495 0.5342
Cl 0.6254 0.4948 0.8194
Cl 0.9013 0.9769 0.2041
Cl 0.0231 0.0987 0.2959
Cl 0.7253 0.6151 0.0773
Cl 0.6357 0.8628 0.3134
Cl 0.3849 0.2747 0.4227
Cl 0.2092 0.1505 0.4658
Cl 0.4948 0.6254 0.3194
Cl 0.2759 0.8361 0.0633
Cl 0.8361 0.2759 0.5633
Cl 0.1639 0.7241 0.4367
Cl 0.8628 0.6357 0.8134
Cl 0.9769 0.9013 0.7041
Cl 0.0987 0.0231 0.7959
Cl 0.7241 0.1639 0.9367
Cl 0.2747 0.3849 0.9227
Cl 0.3643 0.1372 0.6866
CELL_PARAMETERS angstrom
-10.7177 1.9895 -8.2840
-8.3356 -5.6022 -9.3051
-9.5422 -4.0645 7.9576
```

Values from the calculation:
ΔH_f (0 K) in eV per atom: -2.50
Space group: C2/c, No. 15
Final energy in eV for the cell shown: -167.4

Which of these has the lowest final energy? Rb3YCl6

ΔH_f (0 K) of number 3 (Rb3YCl6)? -2.50 eV per atom

Look up the final energy of the second one. -22.2 eV for the cell shown